Sr3CaTi3MnO10 | GGA+U | optimized geometry

a = 11.1703 Å, b = 11.4085 Å, c = 17.7256 Å
α = 108.70°, β = 108.55°, γ = 90.07°
Closest atoms and distances in Å follow each position.
Fractional positions:
O (0.9504, 0.9058, 0.8758)  1 Ti 2.02, 1 Mn 2.07
O (0.8854, 0.3861, 0.0142)  2 Ti 2.00-2.01
Ti (0.7557, 0.2505, 0.5028)  5 O 1.98-2.01
Ca (0.0602, 0.7878, 0.1044)  6 O 2.39-2.53
O (0.6844, 0.1975, 0.3626)  1 Ti 1.91
O (0.9256, 0.0722, 0.7523)  2 Mn 2.05-2.07
O (0.1846, 0.6989, 0.3624)  1 Ti 1.92
O (0.3286, 0.2855, 0.1380)  1 Ti 1.88
O (0.3234, 0.2923, 0.6265)  1 Ti 1.99, 1 Mn 2.09
O (0.5829, 0.0943, 0.6438)  1 Ti 1.86
O (0.1296, 0.3757, 0.5020)  2 Ti 2.02
O (0.0758, 0.0818, 0.6282)  1 Ti 2.06, 1 Mn 2.08
O (0.4345, 0.0676, 0.2397)  1 Ti 1.89
O (0.6841, 0.4345, 0.2404)  2 Ti 1.93-1.96
O (0.3783, 0.1215, 0.9971)  2 Ti 1.99-2.01
O (0.1784, 0.9282, 0.7606)  2 Mn 2.07-2.08, 1 Ca 2.27
O (0.5774, 0.5871, 0.1345)  2 Ti 1.89-2.12
O (0.3817, 0.8785, 0.5056)  2 Ti 2.00-2.01
Sr (0.6968, 0.9350, 0.3878)  7 O 2.54-2.74
Sr (0.1983, 0.4359, 0.3877)  7 O 2.56-2.83
O (0.6378, 0.3805, 0.0156)  2 Ti 1.98-2.00
Mn (0.3572, 0.8976, 0.7528)  4 O 2.05-2.17
O (0.3254, 0.7800, 0.1284)  1 Mn 2.00, 1 Ti 2.05
O (0.4380, 0.4119, 0.3599)  1 Ti 1.90
O (0.7081, 0.7105, 0.8777)  1 Ti 1.99, 1 Mn 2.10
Ti (0.1072, 0.5976, 0.2461)  4 O 1.89-1.94
O (0.8790, 0.8759, 0.5026)  2 Ti 1.99-2.02
O (0.8806, 0.3775, 0.5026)  2 Ti 2.00-2.01
O (0.1997, 0.4555, 0.2483)  2 Ti 1.93-1.97
O (0.3739, 0.1187, 0.4904)  2 Ti 1.99-2.00
O (0.8732, 0.1190, 0.4890)  2 Ti 2.00
O (0.2004, 0.2129, 0.8775)  1 Ti 1.96, 1 Mn 2.09
O (0.2007, 0.7206, 0.8778)  1 Ti 1.99, 1 Mn 2.09
Ti (0.2567, 0.2512, 0.0004)  5 O 1.96-2.02
O (0.5856, 0.0970, 0.1358)  1 Ti 1.90
O (0.6778, 0.4275, 0.7511)  2 Mn 2.05-2.06
O (0.4429, 0.9143, 0.3678)  1 Ti 2.02, 1 Mn 2.03
Ti (0.6035, 0.5876, 0.2454)  4 O 1.89-1.96
Ti (0.0039, 0.0003, 0.4985)  6 O 2.00-2.14
O (0.6406, 0.8834, 0.0151)  2 Ti 2.01-2.02
Sr (0.3089, 0.5620, 0.6117)  2 O 2.38-2.56
Ti (0.7592, 0.7522, 0.0023)  6 O 1.99-2.12
Sr (0.4468, 0.7022, 0.3882)  8 O 2.54-2.82
O (0.9390, 0.9184, 0.3639)  2 Ti 1.92-2.14
O (0.3798, 0.3765, 0.5015)  2 Ti 2.00-2.02
O (0.9269, 0.5850, 0.7599)  2 Mn 2.08, 1 Ca 2.24
Ti (0.2538, 0.7487, 0.5000)  6 O 1.99-2.19
O (0.8812, 0.6240, 0.9978)  2 Ti 1.98-2.00
O (0.6300, 0.6230, 0.9971)  2 Ti 2.02-2.03
Mn (0.3612, 0.4071, 0.7518)  4 O 2.06-2.09
Sr (0.3036, 0.0604, 0.6092)  7 O 2.49-2.73
O (0.6319, 0.8767, 0.5068)  2 Ti 2.00-2.01
Sr (0.5567, 0.7940, 0.1109)  7 O 2.52-2.71
Mn (0.8676, 0.9019, 0.7525)  4 O 2.05-2.20
Sr (0.8090, 0.5614, 0.6138)  5 O 2.43-2.70
Ca (0.1960, 0.9343, 0.8929)  2 O 2.27-2.37
Ti (0.2544, 0.7534, 0.0019)  6 O 1.97-2.06
Sr (0.8109, 0.0628, 0.6113)  3 O 2.39-2.66
O (0.9494, 0.4140, 0.8769)  1 Ti 1.95, 1 Mn 2.08
O (0.6253, 0.1217, 0.4933)  2 Ti 1.99-2.00
Ca (0.8030, 0.0649, 0.1054)  7 O 2.41-2.65
O (0.8739, 0.6187, 0.4891)  2 Ti 1.98-2.01
O (0.9364, 0.5480, 0.2389)  2 Ti 1.94
O (0.1236, 0.6257, 0.9924)  2 Ti 1.99-2.01
Sr (0.0594, 0.2987, 0.6119)  2 O 2.38-2.58
O (0.1243, 0.1207, 0.4892)  2 Ti 1.98-2.00
Ti (0.5060, 0.4978, 0.0017)  6 O 2.00-2.12
Ti (0.7549, 0.7494, 0.5018)  5 O 1.99-2.01
O (0.9329, 0.0552, 0.2405)  2 Ti 1.90-2.01
Sr (0.4469, 0.2018, 0.8923)  6 O 2.47-2.75
Ti (0.5054, 0.5009, 0.5009)  5 O 1.99-2.01
O (0.3906, 0.3817, 0.0185)  2 Ti 1.98-2.00
O (0.0711, 0.5841, 0.6263)  1 Ti 1.96, 1 Mn 2.11
O (0.1772, 0.4324, 0.7514)  2 Mn 2.06-2.07
O (0.3739, 0.6193, 0.4896)  2 Ti 2.00
O (0.6908, 0.2030, 0.8598)  1 Ti 1.87
Sr (0.4462, 0.7011, 0.8913)  3 O 2.37-2.62
Ti (0.8600, 0.8991, 0.2468)  4 O 1.90-2.01
Ti (0.0047, 0.4998, 0.9987)  5 O 1.95-2.03
O (0.1224, 0.6196, 0.4886)  2 Ti 1.98-1.99
Ti (0.5022, 0.9975, 0.4948)  5 O 1.99-2.02
Ti (0.0072, 0.9980, 0.0016)  6 O 1.99-2.17
Sr (0.5578, 0.3001, 0.6117)  2 O 2.37-2.58
O (0.1699, 0.9372, 0.2408)  1 Ti 1.87
Sr (0.7007, 0.9363, 0.8940)  6 O 2.46-2.70
O (0.8910, 0.8847, 0.0188)  2 Ti 1.99
Sr (0.6977, 0.4349, 0.3887)  8 O 2.58-2.84
Ca (0.9476, 0.7065, 0.8919)  2 O 2.24-2.38
O (0.6224, 0.6193, 0.4888)  2 Ti 1.99-2.00
O (0.4520, 0.9158, 0.8765)  1 Ti 1.98, 1 Mn 2.05
Sr (0.9486, 0.2021, 0.8915)  3 O 2.37-2.64
Sr (0.1976, 0.9346, 0.3874)  7 O 2.53-2.78
O (0.1409, 0.3846, 0.0169)  2 Ti 2.01-2.03
O (0.3221, 0.7939, 0.6286)  1 Ti 2.04, 1 Mn 2.05
Ti (0.1018, 0.0876, 0.2443)  4 O 1.87-1.90
Ti (0.8560, 0.4033, 0.2460)  4 O 1.89-1.94
Sr (0.0591, 0.8026, 0.6132)  5 O 2.46-2.74
O (0.6806, 0.6923, 0.3609)  1 Ti 1.92
Mn (0.1098, 0.0951, 0.7532)  4 O 2.07-2.09
O (0.5744, 0.5832, 0.6263)  1 Ti 2.00, 1 Mn 2.09
O (0.3756, 0.6179, 0.9941)  2 Ti 2.00-2.06
O (0.4435, 0.0666, 0.7513)  1 Ti 1.85
Mn (0.3578, 0.9002, 0.2450)  4 O 2.00-2.13
O (0.6272, 0.1238, 0.9959)  2 Ti 2.00-2.01
O (0.6745, 0.9408, 0.7519)  1 Ti 1.85
Ti (0.2551, 0.2487, 0.5015)  5 O 1.98-2.02
Mn (0.6142, 0.5964, 0.7523)  4 O 2.05-2.10
O (0.8270, 0.2965, 0.6272)  1 Ti 1.98, 1 Mn 2.09
O (0.1396, 0.8831, 0.0184)  2 Ti 1.97-1.99
O (0.8273, 0.7876, 0.1348)  2 Ti 1.90-2.12
Ti (0.0058, 0.5042, 0.5033)  5 O 1.96-2.02
Mn (0.8622, 0.4097, 0.7530)  4 O 2.06-2.09
Sr (0.5564, 0.7939, 0.6085)  7 O 2.48-2.75
Mn (0.1092, 0.6013, 0.7539)  4 O 2.06-2.11
O (0.4268, 0.5656, 0.2393)  2 Ti 1.95-1.98
Ca (0.5589, 0.2875, 0.1058)  6 O 2.40-2.56
Ti (0.7591, 0.2542, 0.0073)  5 O 1.98-2.05
O (0.8227, 0.7907, 0.6281)  1 Ti 2.01, 1 Mn 2.06
Sr (0.4471, 0.2007, 0.3877)  8 O 2.53-2.82
O (0.1297, 0.8755, 0.5030)  2 Ti 2.00-2.01
Sr (0.1968, 0.4399, 0.8895)  4 O 2.36-2.64
Ti (0.3683, 0.4068, 0.2461)  4 O 1.88-1.98
Ti (0.6077, 0.0886, 0.7515)  4 O 1.85-1.87
O (0.4486, 0.4125, 0.8764)  1 Ti 2.00, 1 Mn 2.09
O (0.6310, 0.3747, 0.5035)  2 Ti 1.99-2.01
O (0.6929, 0.9536, 0.2478)  2 Ti 1.93-1.97
O (0.1842, 0.1949, 0.3573)  1 Ti 1.90
Sr (0.9459, 0.2033, 0.3882)  8 O 2.58-2.88
Ti (0.6043, 0.0982, 0.2465)  4 O 1.89-1.93
O (0.9342, 0.4158, 0.3605)  1 Ti 1.89
Sr (0.9452, 0.7024, 0.3872)  8 O 2.61-2.84
Ca (0.3038, 0.5664, 0.1024)  6 O 2.33-2.58
O (0.8767, 0.1194, 0.9953)  2 Ti 2.01-2.03
O (0.1296, 0.1197, 0.9942)  2 Ti 2.01-2.02
O (0.0827, 0.5987, 0.1358)  1 Ti 1.89
Sr (0.0614, 0.2972, 0.1116)  6 O 2.49-2.71
Ca (0.8049, 0.5680, 0.1049)  6 O 2.38-2.56
O (0.8250, 0.2870, 0.1348)  2 Ti 1.91-2.05
Ca (0.3056, 0.0640, 0.1040)  6 O 2.36-2.54
O (0.3866, 0.8881, 0.0164)  2 Ti 1.98-2.03
O (0.4300, 0.5754, 0.7524)  2 Mn 2.06-2.07
Sr (0.6970, 0.4394, 0.8900)  3 O 2.36-2.63
Ti (0.5052, 0.9993, 0.0003)  6 O 1.98-2.17
O (0.0816, 0.0946, 0.1370)  1 Ti 1.87

## Properties
Space-group type: P1, No. 1
ΔE_f (eV per atom): -3.176
ρ (Mg/m³): 4.4
E_tot (eV per atom): -7.669

***

LiTiFeO4 | GGA+U | optimized geometry

a = 5.9646 Å, b = 6.0099 Å, c = 8.4919 Å
α = 90.00°, β = 90.00°, γ = 90.00°
Closest atoms and distances in Å follow each position.
Fractional positions:
Ti (0.2500, 0.7500, 0.2500)  6 O 1.97-2.00
Fe (0.0000, 0.5000, 0.5000)  6 O 2.03-2.08
O (0.5000, 0.5292, 0.2435)  2 Ti 2.00, 1 Li 2.04, 1 Fe 2.08
Fe (0.5000, 0.0000, 0.0000)  6 O 2.03-2.08
Li (0.0000, 0.2500, 0.1206)  4 O 2.01-2.04
O (0.5000, 0.0292, 0.7565)  2 Ti 2.00, 1 Li 2.04, 1 Fe 2.08
O (0.5000, 0.4708, 0.7565)  2 Ti 2.00, 1 Li 2.04, 1 Fe 2.08
O (0.0000, 0.5292, 0.2565)  2 Ti 2.00, 1 Li 2.04, 1 Fe 2.08
Ti (0.7500, 0.7500, 0.2500)  6 O 1.97-2.00
O (0.2281, 0.2500, 0.5184)  1 Ti 1.97, 1 Li 2.01, 2 Fe 2.03
O (0.2719, 0.2500, 0.9816)  1 Ti 1.97, 1 Li 2.01, 2 Fe 2.03
O (0.5000, 0.9708, 0.2435)  2 Ti 2.00, 1 Li 2.04, 1 Fe 2.08
Fe (0.0000, 0.0000, 0.5000)  6 O 2.03-2.08
O (0.2719, 0.7500, 0.0185)  1 Ti 1.97, 1 Li 2.01, 2 Fe 2.03
Li (0.5000, 0.2500, 0.3794)  4 O 2.01-2.04
O (0.7281, 0.7500, 0.0184)  1 Ti 1.97, 1 Li 2.01, 2 Fe 2.03
Li (0.0000, 0.7500, 0.8794)  4 O 2.01-2.04
O (0.0000, 0.4708, 0.7435)  2 Ti 2.00, 1 Li 2.04, 1 Fe 2.08
Li (0.5000, 0.7500, 0.6206)  4 O 2.01-2.04
Ti (0.7500, 0.2500, 0.7500)  6 O 1.97-2.00
O (0.7719, 0.7500, 0.4816)  1 Ti 1.97, 1 Li 2.01, 2 Fe 2.03
O (0.7719, 0.2500, 0.5184)  1 Ti 1.97, 1 Li 2.01, 2 Fe 2.03
Ti (0.2500, 0.2500, 0.7500)  6 O 1.97-2.00
O (0.0000, 0.0292, 0.7435)  2 Ti 2.00, 1 Li 2.04, 1 Fe 2.08
Fe (0.5000, 0.5000, 0.0000)  6 O 2.03-2.08
O (0.0000, 0.9708, 0.2565)  2 Ti 2.00, 1 Li 2.04, 1 Fe 2.08
O (0.7281, 0.2500, 0.9816)  1 Ti 1.97, 1 Li 2.01, 2 Fe 2.03
O (0.2281, 0.7500, 0.4816)  1 Ti 1.97, 1 Li 2.01, 2 Fe 2.03

## Properties
ΔE_f (eV per atom): -2.618
ρ (Mg/m³): 3.8
E_tot (eV per atom): -7.341
Energy relative to the lowest polymorph listed for this composition (meV per atom): 0

***

Ca2Mn2O5 | GGA+U | optimized geometry

a = 3.8336 Å, b = 5.4802 Å, c = 10.3772 Å
α = 90.00°, β = 90.00°, γ = 90.00°
Closest atoms and distances in Å follow each position.
Fractional positions:
O (0.0000, 0.0819, 0.2101)  2 Mn 1.90-2.06
Ca (0.5000, 0.1950, 0.6292)  6 O 2.42-2.68
Mn (0.0000, 0.2209, 0.8789)  5 O 1.90-2.06
O (0.5000, 0.2099, 0.9003)  2 Mn 1.93
O (0.0000, 0.4181, 0.7101)  2 Mn 1.90-2.06
Mn (0.0000, 0.2791, 0.3789)  5 O 1.90-2.06
O (0.0000, 0.9181, 0.7899)  2 Mn 1.90-2.06
Mn (0.0000, 0.7209, 0.6211)  5 O 1.90-2.06
O (0.0000, 0.5000, 0.0000)  2 Mn 1.98
Ca (0.5000, 0.8050, 0.3708)  6 O 2.42-2.68
O (0.0000, 0.5819, 0.2899)  2 Mn 1.90-2.06
O (0.0000, 0.0000, 0.5000)  2 Mn 1.98
Ca (0.5000, 0.3050, 0.1292)  6 O 2.42-2.68
O (0.5000, 0.7901, 0.0997)  2 Mn 1.93
O (0.5000, 0.7099, 0.5997)  2 Mn 1.93
Ca (0.5000, 0.6950, 0.8708)  6 O 2.42-2.68
Mn (0.0000, 0.7791, 0.1211)  5 O 1.90-2.06
O (0.5000, 0.2901, 0.4003)  2 Mn 1.93

## Properties
Space-group type: Pbam, No. 55
ΔE_f (eV per atom): -2.576
ρ (Mg/m³): 4.1
E_tot (eV per atom): -7.054
Energy relative to the lowest polymorph listed for this composition (meV per atom): 0

***

MgMn6O6F6 | GGA+U | optimized geometry

a = 4.8275 Å, b = 5.0338 Å, c = 9.4277 Å
α = 87.03°, β = 91.11°, γ = 91.07°
Closest atoms and distances in Å follow each position.
Fractional positions:
Mn (0.9671, 0.9539, 0.0014)  3 O 1.94-1.98, 3 F 2.15-2.16
F (0.2963, 0.2580, 0.3356)  2 Mn 2.04-2.09
Mn (0.4910, 0.5568, 0.5063)  3 O 1.94-2.00, 1 F 2.13
F (0.3163, 0.2301, 0.9937)  1 Mg 1.91
F (0.1645, 0.6898, 0.1575)  1 Mg 2.02, 2 Mn 2.15-2.22
Mn (0.4893, 0.5507, 0.8264)  3 O 1.91-2.01, 1 F 2.04
F (0.6845, 0.7866, 0.6747)  3 Mn 2.04-2.21
O (0.3375, 0.3604, 0.6721)  3 Mn 1.91-2.08
F (0.7966, 0.2585, 0.5024)  3 Mn 2.13-2.34
Mn (0.5554, 0.4670, 0.1927)  3 O 2.03-2.13, 2 F 2.09-2.22
O (0.6759, 0.7227, 0.3424)  3 Mn 1.94-2.03
O (0.8507, 0.1722, 0.1531)  3 Mn 1.95-2.13, 1 Mg 2.11
F (0.8303, 0.2547, 0.8464)  1 Mg 2.03, 2 Mn 2.15-2.24
O (0.1478, 0.7605, 0.8581)  2 Mn 1.94-2.01, 1 Mg 2.10
O (0.6718, 0.6757, 0.0029)  1 Mg 1.97, 3 Mn 1.98-2.11
O (0.1806, 0.8140, 0.5005)  3 Mn 1.92-2.06
Mg (0.0090, 0.4604, 0.0045)  3 F 1.91-2.03, 3 O 1.97-2.11
Mn (0.9851, 0.9769, 0.3407)  3 O 1.92-2.08, 1 F 2.04
Mn (0.0643, 0.0373, 0.6653)  3 O 2.06-2.27, 2 F 2.21-2.25

## Properties
Space-group type: P1, No. 1
ΔE_f (eV per atom): -2.389
ρ (Mg/m³): 4.1
E_tot (eV per atom): -6.644
Energy relative to the lowest polymorph listed for this composition (meV per atom): 72